Entry 1:
## Ag2GeS6O21 (GGA-PBE)

Data for crystalline Ag2GeS6O21 at its relaxed geometry.

```
Ag2GeS6O21
1.0
0.000 0.000 -10.698
-8.287 -14.353 0.000
-8.287 14.353 0.000
Ag Ge S O
12 6 36 126
direct
0.062 0.637 0.998
0.062 0.002 0.640
0.062 0.360 0.363
0.938 0.363 0.002
0.938 0.998 0.360
0.938 0.640 0.637
0.576 0.696 0.012
0.576 0.988 0.684
0.576 0.316 0.304
0.424 0.304 0.988
0.424 0.012 0.316
0.424 0.684 0.696
0.244 0.000 0.000
0.756 0.000 0.000
0.722 0.667 0.333
0.278 0.333 0.667
0.226 0.667 0.333
0.774 0.333 0.667
0.156 0.007 0.182
0.156 0.818 0.826
0.156 0.174 0.993
0.844 0.993 0.818
0.844 0.182 0.174
0.844 0.826 0.007
0.646 0.495 0.146
0.646 0.854 0.349
0.646 0.651 0.505
0.354 0.505 0.854
0.354 0.146 0.651
0.354 0.349 0.495
0.332 0.795 0.943
0.332 0.057 0.852
0.332 0.148 0.205
0.668 0.205 0.057
0.668 0.943 0.148
0.668 0.852 0.795
0.332 0.670 0.159
0.332 0.841 0.511
0.332 0.489 0.330
0.668 0.330 0.841
0.668 0.159 0.489
0.668 0.511 0.670
0.863 0.540 0.801
0.863 0.199 0.739
0.863 0.261 0.460
0.137 0.460 0.199
0.137 0.801 0.261
0.137 0.739 0.540
0.815 0.622 0.132
0.815 0.868 0.490
0.815 0.510 0.378
0.185 0.378 0.868
0.185 0.132 0.510
0.185 0.490 0.622
0.136 0.978 0.079
0.136 0.921 0.899
0.136 0.101 0.022
0.864 0.022 0.921
0.864 0.079 0.101
0.864 0.899 0.978
0.617 0.567 0.248
0.617 0.752 0.320
0.617 0.680 0.433
0.383 0.433 0.752
0.383 0.248 0.680
0.383 0.320 0.567
0.352 0.898 0.976
0.352 0.024 0.923
0.352 0.077 0.102
0.648 0.102 0.024
0.648 0.976 0.077
0.648 0.923 0.898
0.037 0.010 0.223
0.037 0.777 0.787
0.037 0.213 0.990
0.963 0.990 0.777
0.963 0.223 0.213
0.963 0.787 0.010
0.335 0.637 0.230
0.335 0.770 0.407
0.335 0.593 0.363
0.665 0.363 0.770
0.665 0.230 0.593
0.665 0.407 0.637
0.427 0.742 0.875
0.427 0.125 0.867
0.427 0.133 0.258
0.573 0.258 0.125
0.573 0.875 0.133
0.573 0.867 0.742
0.260 0.960 0.195
0.260 0.805 0.765
0.260 0.235 0.040
0.740 0.040 0.805
0.740 0.195 0.235
0.740 0.765 0.960
0.717 0.557 0.779
0.717 0.221 0.778
0.717 0.222 0.443
0.283 0.443 0.221
0.283 0.779 0.222
0.283 0.778 0.557
0.831 0.653 0.235
0.831 0.765 0.418
0.831 0.582 0.347
0.169 0.347 0.765
0.169 0.235 0.582
0.169 0.418 0.653
0.684 0.560 0.101
0.684 0.899 0.459
0.684 0.541 0.440
0.316 0.440 0.899
0.316 0.101 0.541
0.316 0.459 0.560
0.195 0.772 0.890
0.195 0.110 0.882
0.195 0.118 0.228
0.805 0.228 0.110
0.805 0.890 0.118
0.805 0.882 0.772
0.529 0.454 0.101
0.529 0.899 0.353
0.529 0.647 0.546
0.471 0.546 0.899
0.471 0.101 0.647
0.471 0.353 0.454
0.242 0.620 0.087
0.242 0.913 0.533
0.242 0.467 0.380
0.758 0.380 0.913
0.758 0.087 0.467
0.758 0.533 0.620
0.752 0.437 0.135
0.752 0.865 0.302
0.752 0.698 0.563
0.248 0.563 0.865
0.248 0.135 0.698
0.248 0.302 0.437
0.883 0.437 0.735
0.883 0.265 0.702
0.883 0.298 0.563
0.117 0.563 0.265
0.117 0.735 0.298
0.117 0.702 0.437
0.457 0.681 0.136
0.457 0.864 0.545
0.457 0.455 0.319
0.543 0.319 0.864
0.543 0.136 0.455
0.543 0.545 0.681
0.311 0.776 0.017
0.311 0.983 0.759
0.311 0.241 0.224
0.689 0.224 0.983
0.689 0.017 0.241
0.689 0.759 0.776
0.918 0.562 0.081
0.918 0.919 0.481
0.918 0.519 0.438
0.082 0.438 0.919
0.082 0.081 0.519
0.082 0.481 0.562
0.945 0.594 0.777
0.945 0.223 0.816
0.945 0.184 0.406
0.055 0.406 0.223
0.055 0.777 0.184
0.055 0.816 0.594
0.782 0.696 0.114
0.782 0.886 0.582
0.782 0.418 0.304
0.218 0.304 0.886
0.218 0.114 0.418
0.218 0.582 0.696
0.856 0.563 0.897
0.856 0.103 0.667
0.856 0.333 0.437
0.144 0.437 0.103
0.144 0.897 0.333
0.144 0.667 0.563
```

Output
ΔH_f (0 K) = -1601 meV per atom

Entry 2:
## Ce5Mg (GGA-PBE)

Data for crystalline Ce5Mg at its relaxed geometry.

```
Ce5Mg
1.0
1.600 -2.772 0.000
1.600 2.772 0.000
0.000 0.000 17.657
Ce Mg
5 1
direct
0.000 0.000 0.833
0.667 0.333 0.665
0.000 0.000 0.500
0.667 0.333 0.335
0.000 0.000 0.167
0.667 0.333 0.000
```

Output
energy relative to the lowest polymorph listed for this composition = 0 meV per atom
ΔH_f (0 K) = 76 meV per atom

Entry 3:
## MgSi (GGA-PBE)

Data for crystalline MgSi at its relaxed geometry.

```
MgSi
1.0
4.567 0.000 0.000
-2.186 5.008 0.000
-0.758 -1.034 9.494
Mg Si
6 6
direct
0.976 0.858 0.355
0.024 0.142 0.645
0.551 0.131 0.864
0.449 0.869 0.136
0.733 0.546 0.646
0.267 0.454 0.354
0.760 0.474 0.138
0.863 0.759 0.942
0.625 0.156 0.408
0.375 0.844 0.592
0.240 0.526 0.862
0.137 0.241 0.058
```

Output
ΔH_f (0 K) = 110 meV per atom

Entry 4:
## NaCa2Ta2P3S3O24 (GGA-PBE)

Data for crystalline NaCa2Ta2P3S3O24 at its relaxed geometry.

```
NaCa2Ta2P3S3O24
1.0
9.004 0.003 0.001
-4.500 7.777 -0.009
0.002 -0.025 23.110
Na Ca Ta P S O
3 6 6 9 9 72
direct
0.974 0.001 0.001
0.692 0.362 0.834
0.648 0.319 0.345
0.994 0.999 0.862
0.995 0.997 0.145
0.682 0.340 0.678
0.672 0.339 0.972
0.669 0.325 0.488
0.342 0.669 0.306
0.998 0.994 0.354
0.001 0.997 0.649
0.660 0.324 0.190
0.338 0.666 0.026
0.334 0.658 0.512
0.327 0.660 0.809
0.290 0.015 0.249
0.723 0.699 0.249
0.005 0.713 0.754
0.983 0.336 0.584
0.658 0.044 0.080
0.607 0.666 0.916
0.058 0.392 0.918
0.631 0.957 0.413
0.327 0.363 0.412
0.980 0.278 0.251
0.288 0.293 0.752
0.703 0.991 0.751
0.352 0.015 0.584
0.664 0.647 0.583
0.963 0.616 0.082
0.386 0.345 0.083
0.334 0.939 0.917
0.045 0.676 0.415
0.198 0.045 0.304
0.846 0.797 0.304
0.950 0.162 0.303
0.212 0.198 0.804
0.987 0.798 0.807
0.804 0.020 0.803
0.796 0.971 0.699
0.175 0.203 0.700
0.025 0.832 0.699
0.797 0.802 0.196
0.006 0.210 0.198
0.202 0.006 0.194
0.922 0.389 0.637
0.460 0.082 0.635
0.620 0.538 0.634
0.877 0.508 0.135
0.637 0.140 0.136
0.495 0.368 0.136
0.464 0.326 0.031
0.863 0.541 0.030
0.674 0.147 0.028
0.413 0.129 0.534
0.714 0.585 0.534
0.864 0.277 0.533
0.502 0.663 0.972
0.158 0.500 0.972
0.335 0.844 0.970
0.530 0.835 0.468
0.308 0.469 0.467
0.159 0.697 0.468
0.117 0.646 0.364
0.523 0.880 0.361
0.346 0.468 0.360
0.163 0.493 0.860
0.331 0.843 0.863
0.508 0.675 0.861
0.047 0.845 0.411
0.806 0.955 0.405
0.151 0.187 0.406
0.058 0.224 0.922
0.177 0.948 0.920
0.778 0.830 0.922
0.013 0.181 0.603
0.174 0.990 0.599
0.814 0.826 0.599
0.003 0.794 0.088
0.802 0.006 0.086
0.210 0.206 0.089
0.666 0.129 0.741
0.461 0.325 0.741
0.859 0.532 0.744
0.725 0.522 0.240
0.808 0.279 0.245
0.478 0.193 0.242
0.607 0.499 0.911
0.888 0.384 0.910
0.490 0.105 0.913
0.673 0.140 0.425
0.472 0.330 0.426
0.871 0.539 0.427
0.379 0.512 0.079
0.135 0.621 0.077
0.484 0.862 0.074
0.320 0.840 0.569
0.518 0.678 0.570
0.166 0.489 0.565
0.330 0.877 0.261
0.541 0.647 0.262
0.111 0.452 0.262
0.296 0.467 0.755
0.179 0.706 0.759
0.534 0.823 0.755
```

Output
ΔH_f (0 K) = -2661 meV per atom

Entry 5:
## Ba2SrI6 (GGA-PBE)

Data for crystalline Ba2SrI6 at its relaxed geometry.

```
Ba2SrI6
1.0
-5.814 13.380 -0.245
-2.700 -9.328 -10.890
-6.324 -2.677 3.861
Ba Sr I
6 3 18
direct
0.000 0.639 0.000
0.000 0.305 0.500
0.361 0.361 0.000
0.305 0.000 0.500
0.695 0.695 0.500
0.639 0.000 0.000
0.333 0.667 0.495
0.000 0.000 0.000
0.667 0.333 0.505
0.085 0.870 0.762
0.228 0.775 0.252
0.122 0.537 0.741
0.415 0.878 0.741
0.225 0.453 0.252
0.130 0.214 0.762
0.547 0.772 0.252
0.214 0.130 0.238
0.463 0.585 0.741
0.786 0.915 0.762
0.453 0.225 0.748
0.585 0.463 0.259
0.537 0.122 0.259
0.772 0.547 0.748
0.915 0.786 0.238
0.775 0.228 0.748
0.878 0.415 0.259
0.870 0.085 0.238
```

Output
energy relative to the lowest polymorph listed for this composition = 4 meV per atom
ΔH_f (0 K) = -2003 meV per atom

Entry 6:
## AuC5S4Cl4 (GGA-PBE)

Data for crystalline AuC5S4Cl4 at its relaxed geometry.

```
AuC5S4Cl4
1.0
5.735 7.594 0.000
-5.735 7.594 0.000
0.000 0.801 8.098
Au C S Cl
2 10 8 8
direct
0.857 0.857 0.114
0.143 0.143 0.886
0.346 0.466 0.673
0.479 0.479 0.926
0.919 0.355 0.397
0.466 0.346 0.673
0.355 0.919 0.397
0.521 0.521 0.074
0.645 0.081 0.603
0.081 0.645 0.603
0.534 0.654 0.327
0.654 0.534 0.327
0.211 0.510 0.523
0.677 0.421 0.166
0.579 0.323 0.834
0.789 0.490 0.477
0.490 0.789 0.477
0.510 0.211 0.523
0.421 0.677 0.166
0.323 0.579 0.834
0.967 0.967 0.291
0.949 0.353 0.874
0.051 0.647 0.126
0.748 0.748 0.930
0.353 0.949 0.874
0.033 0.033 0.709
0.647 0.051 0.126
0.252 0.252 0.070
```

Output
ΔH_f (0 K) = 393 meV per atom

Entry 7:
## SmGa5Co (GGA-PBE)

Data for crystalline SmGa5Co at its relaxed geometry.

```
SmGa5Co
1.0
-0.928 3.978 1.230
-1.268 -1.471 3.798
6.439 0.748 2.440
Sm Ga Co
1 5 1
direct
0.000 0.000 0.000
0.500 0.500 0.000
0.000 0.500 0.314
0.500 0.000 0.314
0.000 0.500 0.686
0.500 0.000 0.686
0.000 0.000 0.500
```

Output
ΔH_f (0 K) = -468 meV per atom